# 1
Below is GdNiB5O10 after structural relaxation, with properties calculated at the PBE+U level.

Structure (POSCAR):
```
GdNiB5O10
1.0
-4.910 5.702 -1.233
0.512 -1.401 -8.513
-6.759 -7.412 -7.360
Gd Ni B O
4 4 20 40
Direct
0.181 0.945 0.238
0.681 0.055 0.262
0.819 0.055 0.762
0.319 0.945 0.738
0.410 0.473 0.128
0.910 0.527 0.372
0.590 0.527 0.872
0.090 0.473 0.628
0.575 0.658 0.255
0.075 0.342 0.245
0.425 0.342 0.745
0.925 0.658 0.755
0.325 0.088 0.395
0.825 0.912 0.105
0.675 0.912 0.605
0.175 0.088 0.895
0.533 0.279 0.443
0.033 0.721 0.057
0.467 0.721 0.557
0.967 0.279 0.943
0.602 0.845 0.994
0.102 0.155 0.506
0.398 0.155 0.006
0.898 0.845 0.494
0.312 0.522 0.411
0.812 0.478 0.089
0.688 0.478 0.589
0.188 0.522 0.911
0.705 0.808 0.228
0.205 0.192 0.272
0.295 0.192 0.772
0.795 0.808 0.728
0.534 0.688 0.124
0.034 0.312 0.376
0.466 0.312 0.876
0.966 0.688 0.624
0.408 0.685 0.300
0.908 0.315 0.200
0.592 0.315 0.700
0.092 0.685 0.800
0.651 0.455 0.362
0.151 0.545 0.138
0.349 0.545 0.638
0.849 0.455 0.862
0.471 0.236 0.350
0.971 0.764 0.150
0.529 0.764 0.650
0.029 0.236 0.850
0.393 0.906 0.421
0.893 0.094 0.079
0.607 0.094 0.579
0.107 0.906 0.921
0.229 0.027 0.519
0.729 0.973 0.981
0.771 0.973 0.481
0.271 0.027 0.019
0.376 0.329 0.490
0.876 0.671 0.010
0.624 0.671 0.510
0.124 0.329 0.990
0.651 0.423 0.071
0.151 0.577 0.429
0.349 0.577 0.929
0.849 0.423 0.571
0.445 0.116 0.126
0.945 0.884 0.374
0.555 0.884 0.874
0.055 0.116 0.626
```

Summary:
Energy of formation from the pure elements   -2854 meV/atom
E_tot   -141.8 eV per formula unit



# 2
Below is Gd3BWO9 after structural relaxation, with properties calculated at the PBE+U level.

Structure (POSCAR):
```
Gd3BWO9
1.0
4.335 -7.508 0.000
4.335 7.508 0.000
0.000 0.000 5.477
Gd B W O
6 2 2 18
Direct
0.356 0.079 0.199
0.277 0.356 0.699
0.723 0.644 0.199
0.644 0.921 0.699
0.921 0.277 0.199
0.079 0.723 0.699
0.000 0.000 0.369
0.000 0.000 0.869
0.667 0.333 0.742
0.333 0.667 0.242
0.125 0.179 0.360
0.875 0.821 0.860
0.519 0.387 0.969
0.179 0.054 0.860
0.821 0.946 0.360
0.260 0.796 0.035
0.868 0.481 0.969
0.463 0.260 0.535
0.204 0.463 0.035
0.946 0.125 0.860
0.740 0.204 0.535
0.796 0.537 0.535
0.054 0.875 0.360
0.537 0.740 0.035
0.613 0.132 0.969
0.132 0.519 0.469
0.481 0.613 0.469
0.387 0.868 0.469
```

Summary:
Energy of formation from the pure elements   -3338 meV/atom
E_tot   -142.5 eV per formula unit



# 3
Below is Ni5GeB2O10 after structural relaxation, with properties calculated at the PBE+U level.

Structure (POSCAR):
```
Ni5GeB2O10
1.0
3.004 0.000 0.000
0.000 9.394 0.000
0.000 0.000 12.234
Ni Ge B O
10 2 4 20
Direct
0.500 0.258 0.219
0.500 0.260 0.783
0.500 0.740 0.283
0.500 0.742 0.719
0.500 0.260 0.497
0.500 0.740 0.997
0.000 0.736 0.496
0.000 0.264 0.996
0.000 0.487 0.385
0.000 0.513 0.885
0.000 0.009 0.614
0.000 0.991 0.114
0.000 0.525 0.139
0.000 0.984 0.861
0.000 0.016 0.361
0.000 0.475 0.639
0.500 0.352 0.356
0.500 0.134 0.643
0.500 0.866 0.143
0.500 0.648 0.856
0.500 0.639 0.424
0.500 0.879 0.581
0.500 0.121 0.081
0.500 0.361 0.924
0.000 0.375 0.140
0.000 0.128 0.859
0.000 0.872 0.359
0.000 0.625 0.640
0.000 0.399 0.543
0.000 0.093 0.461
0.000 0.907 0.961
0.000 0.601 0.043
0.000 0.599 0.237
0.000 0.910 0.761
0.000 0.090 0.261
0.000 0.401 0.737
```

Summary:
Energy of formation from the pure elements   -1799 meV/atom
E_tot   -109.2 eV per formula unit



# 4
Below is LiMnB3H3O9 after structural relaxation, with properties calculated at the PBE+U level.

Structure (POSCAR):
```
LiMnB3H3O9
1.0
9.118 0.000 0.000
0.000 11.642 0.000
0.000 0.000 14.238
Li Mn B H O
8 8 24 24 72
Direct
0.163 0.000 0.250
0.505 0.000 0.250
0.495 0.000 0.750
0.837 0.000 0.750
0.663 0.500 0.250
0.995 0.500 0.750
0.337 0.500 0.750
0.005 0.500 0.250
0.342 0.234 0.327
0.658 0.234 0.827
0.158 0.266 0.827
0.842 0.266 0.327
0.158 0.734 0.673
0.842 0.734 0.173
0.342 0.766 0.173
0.658 0.766 0.673
0.032 0.147 0.083
0.968 0.147 0.583
0.531 0.146 0.075
0.469 0.146 0.575
0.090 0.243 0.446
0.910 0.243 0.946
0.410 0.257 0.946
0.590 0.257 0.446
0.031 0.354 0.075
0.969 0.354 0.575
0.532 0.353 0.083
0.468 0.353 0.583
0.468 0.647 0.917
0.532 0.647 0.417
0.031 0.646 0.425
0.969 0.646 0.925
0.410 0.743 0.554
0.590 0.743 0.054
0.090 0.757 0.054
0.910 0.757 0.554
0.469 0.854 0.925
0.531 0.854 0.425
0.032 0.853 0.417
0.968 0.853 0.917
0.063 0.981 0.085
0.937 0.981 0.585
0.560 0.024 0.423
0.440 0.024 0.923
0.287 0.200 0.701
0.713 0.200 0.201
0.213 0.300 0.201
0.787 0.300 0.701
0.060 0.476 0.423
0.940 0.476 0.923
0.563 0.519 0.085
0.437 0.519 0.585
0.437 0.481 0.915
0.563 0.481 0.415
0.060 0.524 0.077
0.940 0.524 0.577
0.787 0.700 0.799
0.213 0.700 0.299
0.287 0.800 0.799
0.713 0.800 0.299
0.440 0.976 0.577
0.560 0.976 0.077
0.063 0.019 0.415
0.937 0.019 0.915
0.569 0.045 0.118
0.431 0.045 0.618
0.082 0.049 0.125
0.918 0.049 0.625
0.334 0.104 0.284
0.666 0.104 0.784
0.949 0.142 0.003
0.051 0.142 0.503
0.542 0.148 0.491
0.458 0.148 0.991
0.791 0.165 0.241
0.209 0.165 0.741
0.025 0.229 0.351
0.975 0.229 0.851
0.250 0.248 0.434
0.750 0.248 0.934
0.431 0.247 0.622
0.569 0.247 0.122
0.069 0.253 0.122
0.931 0.253 0.622
0.750 0.252 0.434
0.250 0.252 0.934
0.475 0.271 0.851
0.525 0.271 0.351
0.291 0.335 0.241
0.709 0.335 0.741
0.042 0.352 0.491
0.958 0.352 0.991
0.551 0.358 0.503
0.449 0.358 0.003
0.834 0.396 0.284
0.166 0.396 0.784
0.582 0.451 0.125
0.418 0.451 0.625
0.069 0.455 0.118
0.931 0.455 0.618
0.069 0.545 0.382
0.931 0.545 0.882
0.582 0.549 0.375
0.418 0.549 0.875
0.834 0.604 0.216
0.166 0.604 0.716
0.449 0.642 0.497
0.551 0.642 0.997
0.042 0.648 0.009
0.958 0.648 0.509
0.291 0.665 0.259
0.709 0.665 0.759
0.475 0.729 0.649
0.525 0.729 0.149
0.250 0.748 0.566
0.750 0.748 0.066
0.931 0.747 0.878
0.069 0.747 0.378
0.431 0.753 0.878
0.569 0.753 0.378
0.250 0.752 0.066
0.750 0.752 0.566
0.025 0.771 0.149
0.975 0.771 0.649
0.209 0.835 0.759
0.791 0.835 0.259
0.458 0.852 0.509
0.542 0.852 0.009
0.051 0.858 0.997
0.949 0.858 0.497
0.334 0.896 0.216
0.666 0.896 0.716
0.082 0.951 0.375
0.918 0.951 0.875
0.431 0.955 0.882
0.569 0.955 0.382
```

Summary:
Energy of formation from the pure elements   -2067 meV/atom
E_tot   -113.1 eV per formula unit



# 5
Below is Li3V2BP4H2O17 after structural relaxation, with properties calculated at the PBE+U level.

Structure (POSCAR):
```
Li3V2BP4H2O17
1.0
0.000 -8.400 0.000
-8.314 0.000 4.707
-8.272 0.000 -13.368
Li V B P H O
12 8 4 16 8 68
Direct
0.347 0.635 0.516
0.847 0.865 0.984
0.653 0.365 0.484
0.153 0.135 0.016
0.640 0.780 0.561
0.140 0.720 0.939
0.360 0.220 0.439
0.860 0.280 0.061
0.402 0.106 0.239
0.902 0.394 0.261
0.598 0.894 0.761
0.098 0.606 0.739
0.479 0.421 0.293
0.979 0.079 0.207
0.521 0.579 0.707
0.021 0.921 0.793
0.514 0.755 0.002
0.014 0.745 0.498
0.486 0.245 0.998
0.986 0.255 0.502
0.702 0.897 0.285
0.202 0.603 0.215
0.298 0.103 0.715
0.798 0.397 0.785
0.653 0.672 0.398
0.153 0.828 0.102
0.347 0.328 0.602
0.847 0.172 0.898
0.718 0.152 0.356
0.218 0.348 0.144
0.282 0.848 0.644
0.782 0.652 0.856
0.144 0.489 0.379
0.644 0.011 0.121
0.856 0.511 0.621
0.356 0.989 0.879
0.668 0.494 0.117
0.168 0.006 0.383
0.332 0.506 0.883
0.832 0.994 0.617
0.893 0.615 0.078
0.393 0.885 0.422
0.107 0.385 0.922
0.607 0.115 0.578
0.436 0.670 0.219
0.936 0.830 0.281
0.564 0.330 0.781
0.064 0.170 0.719
0.320 0.825 0.064
0.820 0.675 0.436
0.680 0.175 0.936
0.180 0.325 0.564
0.527 0.732 0.458
0.027 0.768 0.042
0.473 0.268 0.542
0.973 0.232 0.958
0.613 0.516 0.381
0.113 0.984 0.119
0.387 0.484 0.619
0.887 0.016 0.881
0.648 0.756 0.309
0.148 0.744 0.191
0.352 0.244 0.691
0.852 0.256 0.809
0.727 0.696 0.945
0.227 0.804 0.555
0.273 0.304 0.055
0.773 0.196 0.445
0.343 0.308 0.213
0.843 0.192 0.287
0.657 0.692 0.787
0.157 0.808 0.713
0.554 0.222 0.337
0.054 0.278 0.163
0.446 0.778 0.663
0.946 0.722 0.837
0.693 0.989 0.358
0.193 0.511 0.142
0.307 0.011 0.642
0.807 0.489 0.858
0.664 0.889 0.061
0.164 0.611 0.439
0.336 0.111 0.939
0.836 0.389 0.561
0.496 0.892 0.902
0.996 0.608 0.598
0.504 0.108 0.098
0.004 0.392 0.402
0.303 0.406 0.379
0.803 0.094 0.121
0.697 0.594 0.621
0.197 0.906 0.879
0.098 0.542 0.285
0.598 0.958 0.215
0.902 0.458 0.715
0.402 0.042 0.785
0.557 0.617 0.098
0.057 0.883 0.402
0.443 0.383 0.902
0.943 0.117 0.598
0.359 0.629 0.943
0.859 0.871 0.557
0.641 0.371 0.057
0.141 0.129 0.443
0.661 0.441 0.211
0.161 0.059 0.289
0.339 0.559 0.789
0.839 0.941 0.711
0.853 0.528 0.107
0.353 0.972 0.393
0.147 0.472 0.893
0.647 0.028 0.607
0.366 0.606 0.251
0.866 0.894 0.249
0.634 0.394 0.749
0.134 0.106 0.751
```

Summary:
Energy of formation from the pure elements   -2593 meV/atom
E_tot   -203.2 eV per formula unit